# Ti2CoIr

An optimized crystal structure of Ti2CoIr (GGA-PBE, the Materials Project).

V: 14.4 Å³ per atom
DFT formation energy: -0.657 eV/atom
Space-group type: Fm-3m (225)
Theoretical density: 10.0 g/cm3

abc: 4.3305 4.3305 4.3305
angles: 60.00 60.00 60.00
Closest atoms and distances in Å follow each position.
Sites, in units of the cell vectors:
1 Ti 0.2500 0.2500 0.2500  4 Ir 2.65, 4 Co 2.65
2 Ti 0.7500 0.7500 0.7500  4 Co 2.65, 4 Ir 2.65
3 Co 0.0000 0.0000 0.0000  8 Ti 2.65
4 Ir 0.5000 0.5000 0.5000  8 Ti 2.65

---

# Mn2FeSe3

An optimized crystal structure of Mn2FeSe3 (GGA-PBE, the Materials Project).

V: 15.4 Å³ per atom
DFT formation energy: -0.279 eV/atom
Space-group type: P-3m1 (164)
Theoretical density: 7.3 g/cm3

abc: 3.5257 3.5257 8.5645
angles: 90.00 90.00 120.00
Closest atoms and distances in Å follow each position.
Sites, in units of the cell vectors:
1 Mn 0.3333 0.6667 0.1668  6 Se 2.49-2.52
2 Mn 0.6667 0.3333 0.8332  6 Se 2.49-2.52
3 Fe 0.0000 0.0000 0.5000  6 Se 2.46
4 Se 0.0000 0.0000 0.0000  6 Mn 2.49
5 Se 0.3333 0.6667 0.6606  3 Fe 2.46, 3 Mn 2.52
6 Se 0.6667 0.3333 0.3394  3 Fe 2.46, 3 Mn 2.52

---

# MgCd3

An optimized crystal structure of MgCd3 (GGA-PBE, the Materials Project).

V: 22.1 Å³ per atom
DFT formation energy: -0.055 eV/atom
Space-group type: Pm-3m (221)
Polymorph energy (0 for the lowest one): 6 kJ/mol of formula units
Theoretical density: 6.8 g/cm3

abc: 4.4516 4.4516 4.4516
angles: 90.00 90.00 90.00
Closest atoms and distances in Å follow each position.
Sites, in units of the cell vectors:
1 Mg 0.0000 0.0000 0.0000  12 Cd 3.15
2 Cd 0.0000 0.5000 0.5000  8 Cd 3.15, 4 Mg 3.15
3 Cd 0.5000 0.0000 0.5000  8 Cd 3.15, 4 Mg 3.15
4 Cd 0.5000 0.5000 0.0000  8 Cd 3.15, 4 Mg 3.15

---

# CuAgS

An optimized crystal structure of CuAgS (GGA-PBE, the Materials Project).

V: 16.4 Å³ per atom
DFT formation energy: -0.195 eV/atom
Space-group type: P4/nmm (129)
Theoretical density: 6.9 g/cm3

abc: 3.9785 3.9785 6.2069
angles: 90.00 90.00 90.00
Closest atoms and distances in Å follow each position.
Sites, in units of the cell vectors:
1 Cu 0.2500 0.7500 0.0000  4 S 2.45
2 Cu 0.7500 0.2500 0.0000  4 S 2.45
3 Ag 0.2500 0.2500 0.3490  5 S 2.62-2.91
4 Ag 0.7500 0.7500 0.6510  5 S 2.62-2.91
5 S 0.2500 0.2500 0.7704  4 Cu 2.45, 1 Ag 2.62
6 S 0.7500 0.7500 0.2296  4 Cu 2.45, 1 Ag 2.62

---

# Cs4O3

An optimized crystal structure of Cs4O3 (GGA-PBE, the Materials Project).

V: 28.9 Å³ per atom
DFT formation energy: -1.077 eV/atom
Space-group type: I-43d (220)
Theoretical density: 4.8 g/cm3

abc: 8.0685 8.0685 8.0685
angles: 109.47 109.47 109.47
Closest atoms and distances in Å follow each position.
Sites, in units of the cell vectors:
1 Cs 0.0000 0.0989 0.5000  3 O 2.91
2 Cs 0.0000 0.5989 0.5000  3 O 2.91
3 Cs 0.0989 0.5000 0.0000  3 O 2.91
4 Cs 0.4011 0.4011 0.4011  3 O 2.91
5 Cs 0.5000 0.0000 0.0989  3 O 2.91
6 Cs 0.5000 0.0000 0.5989  3 O 2.91
7 Cs 0.5989 0.5000 0.0000  3 O 2.91
8 Cs 0.9011 0.9011 0.9011  3 O 2.91
9 O 0.1250 0.8750 0.2500  4 Cs 2.91
10 O 0.2500 0.1250 0.8750  4 Cs 2.91
11 O 0.3750 0.6250 0.7500  4 Cs 2.91
12 O 0.6250 0.7500 0.3750  4 Cs 2.91
13 O 0.7500 0.3750 0.6250  4 Cs 2.91
14 O 0.8750 0.2500 0.1250  4 Cs 2.91

---

# DyRh2Pb

An optimized crystal structure of DyRh2Pb (GGA-PBE, the Materials Project).

V: 19.2 Å³ per atom
DFT formation energy: -0.557 eV/atom
Space-group type: Fm-3m (225)
Theoretical density: 12.5 g/cm3

abc: 4.7700 4.7700 4.7700
angles: 60.00 60.00 60.00
Closest atoms and distances in Å follow each position.
Sites, in units of the cell vectors:
1 Dy 0.0000 0.0000 0.0000  8 Rh 2.92
2 Rh 0.2500 0.2500 0.2500  4 Pb 2.92, 4 Dy 2.92
3 Rh 0.7500 0.7500 0.7500  4 Pb 2.92, 4 Dy 2.92
4 Pb 0.5000 0.5000 0.5000  8 Rh 2.92

---

# NaAuS4O14

An optimized crystal structure of NaAuS4O14 (GGA-PBE, the Materials Project).

V: 15.9 Å³ per atom
DFT formation energy: -1.646 eV/atom
Space-group type: P2_1/c (14)
Theoretical density: 3.0 g/cm3

abc: 5.5334 12.3187 10.1745
angles: 90.00 113.09 90.00
Closest atoms and distances in Å follow each position.
Sites, in units of the cell vectors:
1 Na 0.0000 0.0000 0.0000  6 O 2.46-2.48
2 Na 0.0000 0.5000 0.5000  6 O 2.46-2.48
3 Au 0.5000 0.0000 0.5000  4 O 2.04
4 Au 0.5000 0.5000 0.0000  4 O 2.04
5 S 0.2832 0.0378 0.7383  3 O 1.44-1.54
6 S 0.2832 0.4622 0.2383  3 O 1.44-1.54
7 S 0.3555 0.2250 0.5838  3 O 1.43-1.54
8 S 0.3555 0.2750 0.0838  3 O 1.43-1.54
9 S 0.6445 0.7250 0.9162  3 O 1.43-1.54
10 S 0.6445 0.7750 0.4162  3 O 1.43-1.54
11 S 0.7168 0.5378 0.7617  3 O 1.44-1.54
12 S 0.7168 0.9622 0.2617  3 O 1.44-1.54
13 O 0.0668 0.0047 0.7731  1 S 1.44
14 O 0.0668 0.4953 0.2731  1 S 1.44
15 O 0.1853 0.1560 0.6611  2 S 1.64-1.68
16 O 0.1853 0.3440 0.1611  2 S 1.64-1.68
17 O 0.1888 0.1833 0.0254  1 S 1.43
18 O 0.1888 0.3167 0.5254  1 S 1.43
19 O 0.2808 0.5354 0.1152  1 S 1.54
20 O 0.2808 0.9646 0.6152  1 S 1.54
21 O 0.3328 0.1505 0.4577  1 S 1.54
22 O 0.3328 0.3495 0.9577  1 S 1.54
23 O 0.3812 0.7380 0.8136  1 S 1.43
24 O 0.3812 0.7620 0.3136  1 S 1.43
25 O 0.4607 0.5497 0.6498  1 S 1.44
26 O 0.4607 0.9503 0.1498  1 S 1.44
27 O 0.5393 0.0497 0.8502  1 S 1.44
28 O 0.5393 0.4503 0.3502  1 S 1.44
29 O 0.6188 0.2380 0.6864  1 S 1.43
30 O 0.6188 0.2620 0.1864  1 S 1.43
31 O 0.6672 0.6505 0.0423  1 S 1.54
32 O 0.6672 0.8495 0.5423  1 S 1.54
33 O 0.7192 0.0354 0.3848  1 S 1.54
34 O 0.7192 0.4646 0.8848  1 S 1.54
35 O 0.8112 0.6833 0.4746  1 S 1.43
36 O 0.8112 0.8167 0.9746  1 S 1.43
37 O 0.8147 0.6560 0.8389  2 S 1.64-1.68
38 O 0.8147 0.8440 0.3389  2 S 1.64-1.68
39 O 0.9332 0.5047 0.7269  1 S 1.44
40 O 0.9332 0.9953 0.2269  1 S 1.44

---

# Na13Ca7S12ClO48F2

An optimized crystal structure of Na13Ca7S12ClO48F2 (GGA-PBE, the Materials Project).

V: 13.4 Å³ per atom
DFT formation energy: -2.468 eV/atom
Space-group type: P1 (1)
Theoretical density: 2.7 g/cm3

abc: 9.6099 9.6119 13.9019
angles: 89.98 89.99 60.14
Closest atoms and distances in Å follow each position.
Sites, in units of the cell vectors:
1 Na 0.0000 0.0000 0.0000  6 O 2.45-2.68
2 Na 0.0001 0.9999 0.2350  6 O 2.44-2.72
3 Na 0.0593 0.6163 0.1168  6 O 2.34-2.60
4 Na 0.3221 0.0707 0.6173  3 O 2.29-2.42
5 Na 0.3241 0.0580 0.1169  6 O 2.34-2.60
6 Na 0.6078 0.3200 0.6172  4 O 2.32-2.58
7 Na 0.6170 0.3221 0.1169  6 O 2.34-2.61
8 Na 0.6599 0.6678 0.7413  9 O 2.56-2.81
9 Na 0.6600 0.6687 0.4937  6 O 2.44-2.59
10 Na 0.6657 0.6660 0.2379  6 O 2.47-2.62
11 Na 0.6655 0.6661 0.9964  6 O 2.50-2.58
12 Na 0.9993 0.0056 0.4998  6 O 2.45-2.71
13 Na 0.9990 0.0058 0.7389  6 O 2.45-2.72
14 Ca 0.0731 0.6000 0.6188  5 O 2.31-2.58
15 Ca 0.0866 0.3338 0.3672  1 F 2.36, 6 O 2.37-2.61
16 Ca 0.0903 0.3332 0.8682  1 F 2.35, 5 O 2.39-2.48
17 Ca 0.3393 0.5722 0.8674  1 F 2.35, 6 O 2.39-2.60
18 Ca 0.3394 0.5755 0.3685  1 F 2.36, 6 O 2.37-2.57
19 Ca 0.5730 0.0892 0.8662  1 F 2.35, 6 O 2.41-2.62
20 Ca 0.5764 0.0855 0.3695  1 F 2.37, 6 O 2.39-2.59
21 S 0.3051 0.9665 0.8696  4 O 1.49
22 S 0.3058 0.9692 0.3678  4 O 1.49
23 S 0.3566 0.6883 0.1183  4 O 1.49-1.50
24 S 0.3592 0.6981 0.6173  4 O 1.48-1.50
25 S 0.6899 0.9521 0.1184  4 O 1.48-1.50
26 S 0.7021 0.9370 0.6175  4 O 1.49-1.51
27 S 0.7229 0.3054 0.3679  4 O 1.49
28 S 0.7262 0.3047 0.8694  4 O 1.49
29 S 0.9382 0.3636 0.6170  4 O 1.48-1.51
30 S 0.9531 0.3565 0.1182  4 O 1.48-1.50
31 S 0.9663 0.7251 0.8686  4 O 1.48-1.51
32 S 0.9693 0.7214 0.3689  4 O 1.49-1.51
33 Cl 0.3348 0.3311 0.6648  1 Ca 2.63, 2 Na 2.65-2.66
34 O 0.0054 0.4131 0.5342  1 S 1.51
35 O 0.0105 0.1872 0.6192  1 S 1.48
36 O 0.0120 0.4049 0.0318  1 S 1.50
37 O 0.0120 0.4051 0.2046  1 S 1.50
38 O 0.0158 0.1808 0.1185  1 S 1.48
39 O 0.0714 0.6776 0.7807  1 S 1.51
40 O 0.0775 0.6708 0.4555  1 S 1.51
41 O 0.0792 0.6714 0.2844  1 S 1.49
42 O 0.0789 0.6731 0.9518  1 S 1.49
43 O 0.1798 0.7990 0.6195  1 S 1.50
44 O 0.1807 0.8006 0.1185  1 S 1.49
45 O 0.2353 0.8585 0.8712  1 S 1.49
46 O 0.2355 0.8614 0.3684  1 S 1.49
47 O 0.2447 0.0734 0.7833  1 S 1.49
48 O 0.2455 0.0788 0.4527  1 S 1.49
49 O 0.2467 0.0755 0.9549  1 S 1.49
50 O 0.2480 0.0757 0.2814  1 S 1.49
51 O 0.4050 0.5813 0.0320  1 S 1.50
52 O 0.4051 0.5812 0.2048  1 S 1.50
53 O 0.4062 0.5849 0.5341  1 S 1.50
54 O 0.4175 0.6047 0.7084  1 S 1.49
55 O 0.4365 0.7978 0.6069  1 S 1.48
56 O 0.4459 0.7784 0.1184  1 S 1.49
57 O 0.4839 0.8721 0.8691  1 S 1.49
58 O 0.4846 0.8736 0.3684  1 S 1.49
59 O 0.5832 0.0103 0.2050  1 S 1.50
60 O 0.5830 0.0105 0.0320  1 S 1.50
61 O 0.5917 0.9988 0.5335  1 S 1.49
62 O 0.6075 0.9744 0.7079  1 S 1.49
63 O 0.6401 0.4843 0.3682  1 S 1.49
64 O 0.6425 0.4836 0.8695  1 S 1.49
65 O 0.6738 0.2455 0.4532  1 S 1.49
66 O 0.6743 0.2470 0.2818  1 S 1.49
67 O 0.6760 0.2455 0.9544  1 S 1.49
68 O 0.6797 0.2450 0.7829  1 S 1.49
69 O 0.7610 0.4450 0.6074  1 S 1.48
70 O 0.7741 0.4458 0.1183  1 S 1.49
71 O 0.7796 0.7729 0.1185  1 S 1.49
72 O 0.7979 0.7571 0.6092  1 S 1.51
73 O 0.8031 0.0150 0.1185  1 S 1.48
74 O 0.8117 0.0043 0.6189  1 S 1.49
75 O 0.8609 0.9021 0.8699  1 S 1.48
76 O 0.8640 0.8986 0.3696  1 S 1.49
77 O 0.8713 0.6413 0.8690  1 S 1.49
78 O 0.8731 0.6387 0.3688  1 S 1.49
79 O 0.9007 0.2355 0.3685  1 S 1.49
80 O 0.9038 0.2353 0.8706  1 S 1.49
81 O 0.9773 0.4245 0.7066  1 S 1.50
82 F 0.3325 0.3332 0.3668  3 Ca 2.36-2.37
83 F 0.3329 0.3328 0.8893  3 Ca 2.35

---

# CrIrRu

An optimized crystal structure of CrIrRu (GGA-PBE, the Materials Project).

V: 16.6 Å³ per atom
DFT formation energy: 0.632 eV/atom
Space-group type: F-43m (216)
Theoretical density: 11.5 g/cm3

abc: 4.1317 4.1317 4.1317
angles: 60.00 60.00 60.00
Closest atoms and distances in Å follow each position.
Sites, in units of the cell vectors:
1 Cr 0.0000 0.0000 0.0000  4 Ru 2.53
2 Ir 0.5000 0.5000 0.5000  4 Ru 2.53
3 Ru 0.2500 0.2500 0.2500  4 Ir 2.53, 4 Cr 2.53

---

# CsInH2Se2O8

An optimized crystal structure of CsInH2Se2O8 (GGA-PBE, the Materials Project).

V: 18.6 Å³ per atom
DFT formation energy: -1.222 eV/atom
Space-group type: C2/c (15)
Theoretical density: 3.4 g/cm3

abc: 9.3740 9.3740 6.8814
angles: 99.48 99.48 115.21
Closest atoms and distances in Å follow each position.
Sites, in units of the cell vectors:
1 Cs 0.0980 0.9020 0.7500  6 O 3.15-3.44
2 Cs 0.9020 0.0980 0.2500  6 O 3.15-3.44
3 In 0.2736 0.7264 0.2500  4 O 2.08-2.10
4 In 0.7264 0.2736 0.7500  4 O 2.08-2.10
5 H 0.4342 0.5371 0.2946  1 H 0.75
6 H 0.4629 0.5658 0.2054  1 H 0.75
7 H 0.5371 0.4342 0.7946  1 H 0.75
8 H 0.5658 0.4629 0.7054  1 H 0.75
9 Se 0.1152 0.4045 0.7930  4 O 1.63-1.74
10 Se 0.4045 0.1152 0.2930  4 O 1.63-1.74
11 Se 0.5955 0.8848 0.7070  4 O 1.63-1.74
12 Se 0.8848 0.5955 0.2070  4 O 1.63-1.74
13 O 0.0613 0.2701 0.9296  1 Se 1.65
14 O 0.0646 0.6089 0.3465  1 Se 1.74
15 O 0.2146 0.6017 0.9425  1 Se 1.71
16 O 0.2163 0.3822 0.6288  1 Se 1.63
17 O 0.2701 0.0613 0.4296  1 Se 1.65
18 O 0.3822 0.2163 0.1288  1 Se 1.63
19 O 0.3911 0.9354 0.1535  1 Se 1.74
20 O 0.3983 0.7854 0.5575  1 Se 1.71
21 O 0.6017 0.2146 0.4425  1 Se 1.71
22 O 0.6089 0.0646 0.8465  1 Se 1.74
23 O 0.6178 0.7837 0.8712  1 Se 1.63
24 O 0.7299 0.9387 0.5704  1 Se 1.65
25 O 0.7837 0.6178 0.3712  1 Se 1.63
26 O 0.7854 0.3983 0.0575  1 Se 1.71
27 O 0.9354 0.3911 0.6535  1 Se 1.74
28 O 0.9387 0.7299 0.0704  1 Se 1.65

---

# BiOF

An optimized crystal structure of BiOF (GGA-PBE, the Materials Project).

V: 15.6 Å³ per atom
DFT formation energy: -2.215 eV/atom
Space-group type: P4/nmm (129)
Theoretical density: 8.7 g/cm3

abc: 4.0142 4.0142 5.8066
angles: 90.00 90.00 90.00
Closest atoms and distances in Å follow each position.
Sites, in units of the cell vectors:
1 Bi 0.2500 0.2500 0.2160  4 O 2.37, 4 F 2.60
2 Bi 0.7500 0.7500 0.7840  4 O 2.37, 4 F 2.60
3 O 0.2500 0.7500 0.0000  4 Bi 2.37
4 O 0.7500 0.2500 0.0000  4 Bi 2.37
5 F 0.2500 0.7500 0.5000  4 Bi 2.60, 4 F 2.84, 2 O 2.90
6 F 0.7500 0.2500 0.5000  4 Bi 2.60, 4 F 2.84, 2 O 2.90

---

# Ba3YI9

An optimized crystal structure of Ba3YI9 (GGA-PBE, the Materials Project).

V: 46.4 Å³ per atom
DFT formation energy: -1.887 eV/atom
Space-group type: Pnma (62)
Polymorph energy (0 for the lowest one): 17 kJ/mol of formula units
Theoretical density: 4.5 g/cm3

abc: 14.3024 8.2619 20.4160
angles: 90.00 90.00 90.00
Closest atoms and distances in Å follow each position.
Sites, in units of the cell vectors:
1 Ba 0.0494 0.2500 0.0985  8 I 3.53-3.92
2 Ba 0.1902 0.2500 0.5276  5 I 3.38-3.62
3 Ba 0.2345 0.7500 0.3249  5 I 3.48-3.60
4 Ba 0.2655 0.2500 0.8249  5 I 3.48-3.60
5 Ba 0.3098 0.7500 0.0276  5 I 3.38-3.62
6 Ba 0.4506 0.7500 0.5985  8 I 3.53-3.92
7 Ba 0.5494 0.2500 0.4015  8 I 3.53-3.92
8 Ba 0.6902 0.2500 0.9724  5 I 3.38-3.62
9 Ba 0.7345 0.7500 0.1751  5 I 3.48-3.60
10 Ba 0.7655 0.2500 0.6751  5 I 3.48-3.60
11 Ba 0.8098 0.7500 0.4724  5 I 3.38-3.62
12 Ba 0.9506 0.7500 0.9015  8 I 3.53-3.92
13 Y 0.0211 0.7500 0.6755  6 I 2.97-3.08
14 Y 0.4789 0.2500 0.1755  6 I 2.97-3.08
15 Y 0.5211 0.7500 0.8245  6 I 2.97-3.08
16 Y 0.9789 0.2500 0.3245  6 I 2.97-3.08
17 I 0.0670 0.5091 0.4137  1 Y 3.08
18 I 0.0670 0.9909 0.4137  1 Y 3.08
19 I 0.0817 0.0055 0.7685  1 Y 2.97
20 I 0.0817 0.4945 0.7685  1 Y 2.97
21 I 0.1372 0.0026 0.9617  4 Ba 3.50-3.92
22 I 0.1372 0.4974 0.9617  4 Ba 3.50-3.92
23 I 0.1615 0.2500 0.2526  1 Y 3.00
24 I 0.1689 0.7500 0.1607  2 Ba 3.38-3.48
25 I 0.1863 0.7500 0.5841  1 Y 3.01
26 I 0.3137 0.2500 0.0841  1 Y 3.01
27 I 0.3311 0.2500 0.6607  2 Ba 3.38-3.48
28 I 0.3385 0.7500 0.7526  1 Y 3.00
29 I 0.3628 0.5026 0.4617  4 Ba 3.50-3.92
30 I 0.3628 0.9974 0.4617  4 Ba 3.50-3.92
31 I 0.4183 0.5055 0.2685  1 Y 2.97
32 I 0.4183 0.9945 0.2685  1 Y 2.97
33 I 0.4330 0.0091 0.9137  1 Y 3.08
34 I 0.4330 0.4909 0.9137  1 Y 3.08
35 I 0.5670 0.5091 0.0863  1 Y 3.08
36 I 0.5670 0.9909 0.0863  1 Y 3.08
37 I 0.5817 0.0055 0.7315  1 Y 2.97
38 I 0.5817 0.4945 0.7315  1 Y 2.97
39 I 0.6372 0.0026 0.5383  4 Ba 3.50-3.92
40 I 0.6372 0.4974 0.5383  4 Ba 3.50-3.92
41 I 0.6615 0.2500 0.2474  1 Y 3.00
42 I 0.6689 0.7500 0.3393  2 Ba 3.38-3.48
43 I 0.6863 0.7500 0.9159  1 Y 3.01
44 I 0.8137 0.2500 0.4159  1 Y 3.01
45 I 0.8311 0.2500 0.8393  2 Ba 3.38-3.48
46 I 0.8385 0.7500 0.7474  1 Y 3.00
47 I 0.8628 0.5026 0.0383  4 Ba 3.50-3.92
48 I 0.8628 0.9974 0.0383  4 Ba 3.50-3.92
49 I 0.9183 0.5055 0.2315  1 Y 2.97
50 I 0.9183 0.9945 0.2315  1 Y 2.97
51 I 0.9330 0.0091 0.5863  1 Y 3.08
52 I 0.9330 0.4909 0.5863  1 Y 3.08

---

Total energy in eV per formula unit, matching the order above: -34.4, -37.5, -4.6, -11.1, -23.9, -25.3, -113.7, -495.0, -25.9, -68.6, -16.2, -47.1